This record from Materials Project describes a geometry-optimized Mg6CuSnO8 structure. The functional is PBE.

ΔE to the lowest computed polymorph   21.9 meV/atom
ΔE_f   -2.455 eV/atom
VASP energy   -5.69 eV/atom

abc: 4.3986 4.3986 8.8586
angles: 90.00 90.00 90.00
With the nearest neighbours (Å) after each atom.
Space group P4/mmm (No. 123)
One atom of each set of equivalent atoms:
Mg1 0.0000 0.0000 0.0000 (multiplicity 1)  6 O 2.20-2.22
Mg2 0.0000 0.0000 0.5000 (multiplicity 1)  6 O 2.20-2.21
Mg3 0.0000 0.5000 0.2307 (multiplicity 4)  5 O 2.04-2.21
Cu1 0.5000 0.5000 0.0000 (multiplicity 1)  6 O 2.20
Sn1 0.5000 0.5000 0.5000 (multiplicity 1)  6 O 2.20-2.22
O1 0.0000 0.0000 0.2511 (multiplicity 2)  6 Mg 2.21-2.22
O2 0.0000 0.5000 0.0000 (multiplicity 2)  4 Mg 2.04-2.20, 2 Cu 2.20
O3 0.0000 0.5000 0.5000 (multiplicity 2)  2 Sn 2.20, 4 Mg 2.20-2.39
O4 0.5000 0.5000 0.2488 (multiplicity 2)  1 Cu 2.20, 4 Mg 2.21, 1 Sn 2.22

This record from Materials Project describes a geometry-optimized Sr2MgCuO4 structure. The functional is PBE.

ΔE to the lowest computed polymorph   24.9 meV/atom
ΔE_f   -2.207 eV/atom
VASP energy   -5.47 eV/atom

abc: 5.5747 5.2504 8.8218
angles: 90.00 98.17 90.00
With the nearest neighbours (Å) after each atom.
Space group C2/m (No. 12)
One atom of each set of equivalent atoms:
Sr1 0.0294 0.0000 0.1975 (multiplicity 4)  5 O 2.47-2.62
Mg1 0.0000 0.5000 0.5000 (multiplicity 2)  2 O 1.86
Cu1 0.0000 0.5000 0.0000 (multiplicity 2)  4 O 1.91
O1 0.1741 0.5000 0.3354 (multiplicity 4)  1 Mg 1.86
O2 0.2500 0.2500 0.0000 (multiplicity 4)  2 Cu 1.91

This record from Materials Project describes a geometry-optimized Sr2MgCu4O6 structure. The functional is PBE.

ΔE to the lowest computed polymorph   248.6 meV/atom
ΔE_f   -1.507 eV/atom
VASP energy   -5.12 eV/atom

abc: 4.7631 9.9584 4.1060
angles: 90.00 90.00 90.00
With the nearest neighbours (Å) after each atom.
Space group Pmm2 (No. 25)
One atom of each set of equivalent atoms:
Sr1 0.0000 0.0000 0.0000 (multiplicity 1)  6 O 2.38-2.48
Sr2 0.5000 0.5000 0.1354 (multiplicity 1)  6 O 2.55-2.63
Mg1 0.5000 0.0000 0.4724 (multiplicity 1)  2 O 1.97-2.14
Cu1 0.0000 0.3241 0.5125 (multiplicity 2)  2 O 1.85
Cu2 0.5000 0.1914 0.8576 (multiplicity 2)  2 O 1.78-1.99
O1 0.0000 0.1379 0.5038 (multiplicity 2)  1 Cu 1.85
O2 0.0000 0.5000 0.3658 (multiplicity 1)  2 Cu 1.85
O3 0.5000 0.0000 0.9927 (multiplicity 1)  2 Mg 1.97-2.14, 2 Cu 1.99
O4 0.5000 0.3415 0.6218 (multiplicity 2)  1 Cu 1.78

This record from Materials Project describes a geometry-optimized Sr2MgCuO4 structure. The functional is PBE.

ΔE to the lowest computed polymorph   0.0 meV/atom
ΔE_f   -2.232 eV/atom
VASP energy   -5.50 eV/atom

abc: 3.7282 3.7282 16.7440
angles: 90.00 90.00 90.00
With the nearest neighbours (Å) after each atom.
Space group I-4m2 (No. 119)
One atom of each set of equivalent atoms:
Sr1 0.0000 0.0000 0.1050 (multiplicity 4)  4 O 2.53-2.60
Mg1 0.0000 0.5000 0.2500 (multiplicity 2)  4 O 2.15
Cu1 0.0000 0.0000 0.5000 (multiplicity 2)  4 O 1.86
O1 0.0000 0.0000 0.3141 (multiplicity 4)  2 Mg 2.15
O2 0.0000 0.5000 0.0032 (multiplicity 4)  2 Cu 1.86

This record from Materials Project describes a geometry-optimized Sr2MgCu2O4 structure. The functional is PBE.

ΔE to the lowest computed polymorph   0.0 meV/atom
ΔE_f   -2.076 eV/atom
VASP energy   -5.43 eV/atom

abc: 20.3924 3.3133 3.8189
angles: 90.00 100.59 90.00
With the nearest neighbours (Å) after each atom.
Space group C2/m (No. 12)
One atom of each set of equivalent atoms:
Sr1 0.1828 0.0000 0.1838 (multiplicity 4)  5 O 2.53-2.54
Mg1 0.0000 0.0000 0.0000 (multiplicity 2)  4 O 2.14
Cu1 0.0823 0.5000 0.5826 (multiplicity 4)  2 O 1.93
O1 0.0674 0.5000 0.0682 (multiplicity 4)  2 Cu 1.93, 2 Mg 2.14
O2 0.1903 0.5000 0.6918 (multiplicity 4)  1 Cu 2.16

This record from Materials Project describes a geometry-optimized SrMg14CuO16 structure. The functional is PBE.

ΔE to the lowest computed polymorph   0.0 meV/atom
ΔE_f   -2.827 eV/atom
VASP energy   -5.84 eV/atom

abc: 4.3903 8.5495 8.7640
angles: 90.00 90.00 90.00
With the nearest neighbours (Å) after each atom.
Space group Pmmm (No. 47)
One atom of each set of equivalent atoms:
Sr1 0.0000 0.0000 0.0000 (multiplicity 1)  6 O 2.20-2.37
Mg1 0.0000 0.0000 0.5000 (multiplicity 1)  6 O 2.01-2.20
Mg2 0.0000 0.2574 0.2579 (multiplicity 4)  6 O 2.08-2.27
Mg3 0.0000 0.5000 0.5000 (multiplicity 1)  6 O 2.05-2.20
Mg4 0.5000 0.0000 0.2605 (multiplicity 2)  6 O 2.10-2.28
Mg5 0.5000 0.2520 0.5000 (multiplicity 2)  6 O 2.12-2.20
Mg6 0.5000 0.2606 0.0000 (multiplicity 2)  6 O 2.05-2.23
Mg7 0.5000 0.5000 0.2516 (multiplicity 2)  6 O 2.14-2.21
Cu1 0.0000 0.5000 0.0000 (multiplicity 1)  2 O 1.92
O1 0.0000 0.0000 0.2706 (multiplicity 2)  5 Mg 2.01-2.20
O2 0.0000 0.2517 0.5000 (multiplicity 2)  6 Mg 2.12-2.20
O3 0.0000 0.2751 0.0000 (multiplicity 2)  1 Cu 1.92
O4 0.0000 0.5000 0.2659 (multiplicity 2)  5 Mg 2.05-2.20
O5 0.5000 0.0000 0.0000 (multiplicity 1)  2 Sr 2.20, 4 Mg 2.23-2.28
O6 0.5000 0.0000 0.5000 (multiplicity 1)  6 Mg 2.10-2.20
O7 0.5000 0.2502 0.2488 (multiplicity 4)  6 Mg 2.14-2.20
O8 0.5000 0.5000 0.0000 (multiplicity 1)  4 Mg 2.05-2.21, 2 Cu 2.20
O9 0.5000 0.5000 0.5000 (multiplicity 1)  6 Mg 2.12-2.20